Arrangement i

{"formula": "Sr4RuN4", "functional": "PBE-GGA", "state": "relaxed", "lattice": [[6.389, -0.076, -0.090], [2.308, 6.047, -0.053], [1.605, 2.565, 8.499]], "species": ["Sr", "Sr", "Sr", "Sr", "Sr", "Sr", "Sr", "Sr", "Ru", "Ru", "N", "N", "N", "N", "N", "N", "N", "N"], "fractional_positions": [[0.782, 0.572, 0.146], [0.218, 0.428, 0.854], [0.727, 0.198, 0.969], [0.273, 0.802, 0.031], [0.733, 0.500, 0.564], [0.267, 0.500, 0.436], [0.217, 0.954, 0.622], [0.783, 0.046, 0.378], [0.718, 0.853, 0.756], [0.282, 0.147, 0.244], [0.980, 0.693, 0.620], [0.020, 0.307, 0.380], [0.956, 0.823, 0.892], [0.044, 0.177, 0.108], [0.548, 0.637, 0.807], [0.452, 0.363, 0.193], [0.463, 0.851, 0.333], [0.537, 0.149, 0.667]], "magmom_total_mub_per_atom": 0.0002}

Arrangement ii

{"formula": "Sr4RuN4", "functional": "PBE-GGA", "state": "relaxed", "lattice": [[10.695, 0.000, 0.000], [0.000, 4.124, 0.000], [0.000, 0.000, 16.313]], "species": ["Sr", "Sr", "Sr", "Sr", "Sr", "Sr", "Sr", "Sr", "Sr", "Sr", "Sr", "Sr", "Sr", "Sr", "Sr", "Sr", "Ru", "Ru", "Ru", "Ru", "N", "N", "N", "N", "N", "N", "N", "N", "N", "N", "N", "N", "N", "N", "N", "N"], "fractional_positions": [[0.588, 0.250, 0.919], [0.088, 0.250, 0.581], [0.412, 0.750, 0.081], [0.912, 0.750, 0.419], [0.646, 0.250, 0.520], [0.146, 0.250, 0.980], [0.354, 0.750, 0.480], [0.854, 0.750, 0.020], [0.715, 0.250, 0.734], [0.215, 0.250, 0.766], [0.285, 0.750, 0.266], [0.785, 0.750, 0.234], [0.042, 0.250, 0.172], [0.542, 0.250, 0.328], [0.958, 0.750, 0.828], [0.458, 0.750, 0.672], [0.629, 0.250, 0.130], [0.129, 0.250, 0.370], [0.371, 0.750, 0.870], [0.871, 0.750, 0.630], [0.302, 0.250, 0.366], [0.802, 0.250, 0.134], [0.698, 0.750, 0.634], [0.198, 0.750, 0.866], [0.941, 0.250, 0.918], [0.441, 0.250, 0.582], [0.059, 0.750, 0.082], [0.559, 0.750, 0.418], [0.972, 0.250, 0.324], [0.472, 0.250, 0.176], [0.028, 0.750, 0.676], [0.528, 0.750, 0.824], [0.819, 0.250, 0.889], [0.319, 0.250, 0.611], [0.181, 0.750, 0.111], [0.681, 0.750, 0.389]], "magmom_total_mub_per_atom": 0.0000}

Q: Which of them is the least stable? A: arrangement ii.

Arrangement i

{"formula": "SbS2N", "functional": "PBE-GGA", "state": "relaxed", "lattice": [[-4.569, 3.602, -8.860], [2.959, -1.364, -4.886], [-4.898, -5.527, 2.292]], "species": ["Sb", "Sb", "Sb", "Sb", "S", "S", "S", "S", "S", "S", "S", "S", "N", "N", "N", "N"], "fractional_positions": [[0.382, 0.194, 0.703], [0.618, 0.806, 0.297], [0.105, 0.143, 0.835], [0.895, 0.857, 0.165], [0.635, 0.640, 0.894], [0.365, 0.360, 0.106], [0.757, 0.872, 0.738], [0.243, 0.128, 0.262], [0.312, 0.818, 0.673], [0.688, 0.182, 0.327], [0.115, 0.469, 0.731], [0.885, 0.531, 0.269], [0.624, 0.902, 0.609], [0.376, 0.098, 0.391], [0.761, 0.737, 0.892], [0.239, 0.263, 0.108]], "magmom_total_mub_per_atom": 0.0001}

Arrangement ii

{"formula": "SbS2N", "functional": "PBE-GGA", "state": "relaxed", "lattice": [[2.970, 3.638, 3.928], [4.718, 3.852, -4.067], [-5.384, 9.002, -0.512]], "species": ["Sb", "Sb", "Sb", "Sb", "S", "S", "S", "S", "S", "S", "S", "S", "N", "N", "N", "N"], "fractional_positions": [[0.166, 0.178, 0.372], [0.834, 0.822, 0.628], [0.572, 0.165, 0.099], [0.428, 0.835, 0.901], [0.616, 0.161, 0.669], [0.384, 0.839, 0.331], [0.123, 0.231, 0.797], [0.877, 0.769, 0.203], [0.529, 0.282, 0.314], [0.471, 0.718, 0.686], [0.149, 0.237, 0.132], [0.851, 0.763, 0.868], [0.070, 0.330, 0.670], [0.930, 0.670, 0.330], [0.413, 0.124, 0.804], [0.587, 0.876, 0.196]], "magmom_total_mub_per_atom": 0.0000}

Q: Which of them is the least stable? A: arrangement ii.

Arrangement i

{"formula": "Sc4S3N2", "functional": "PBE-GGA", "state": "relaxed", "lattice": [[6.321, -0.004, 0.124], [1.023, 3.443, 0.000], [6.095, -1.811, 7.419]], "species": ["Sc", "Sc", "Sc", "Sc", "S", "S", "S", "N", "N"], "fractional_positions": [[0.233, 0.883, 0.649], [0.767, 0.117, 0.351], [0.574, 0.713, 0.151], [0.426, 0.287, 0.849], [0.000, 0.000, 0.000], [0.787, 0.607, 0.782], [0.213, 0.393, 0.218], [0.549, 0.726, 0.366], [0.451, 0.274, 0.634]], "magmom_total_mub_per_atom": 0.0001}

Arrangement ii

{"formula": "Sc4S3N2", "functional": "PBE-GGA", "state": "relaxed", "lattice": [[-3.886, -0.538, 5.057], [2.259, -13.440, 0.308], [2.766, 0.515, 2.180]], "species": ["Sc", "Sc", "Sc", "Sc", "Sc", "Sc", "Sc", "Sc", "S", "S", "S", "S", "S", "S", "N", "N", "N", "N"], "fractional_positions": [[0.705, 0.936, 0.500], [0.295, 0.064, 0.500], [0.205, 0.564, 0.000], [0.795, 0.436, 0.000], [0.793, 0.653, 0.500], [0.207, 0.347, 0.500], [0.293, 0.847, 0.000], [0.707, 0.153, 0.000], [0.500, 0.500, 0.500], [0.000, 0.000, 0.000], [0.813, 0.294, 0.500], [0.187, 0.706, 0.500], [0.313, 0.206, 0.000], [0.687, 0.794, 0.000], [0.620, 0.083, 0.500], [0.380, 0.917, 0.500], [0.120, 0.417, 0.000], [0.880, 0.583, 0.000]], "magmom_total_mub_per_atom": 0.0001}

Q: Which of them is the least stable? A: arrangement ii.

Arrangement i

{"formula": "Sr3Sc2N4", "functional": "PBE-GGA", "state": "relaxed", "lattice": [[6.188, 0.000, 0.000], [0.000, 10.995, 0.000], [0.000, 0.000, 9.883]], "species": ["Sr", "Sr", "Sr", "Sr", "Sr", "Sr", "Sr", "Sr", "Sr", "Sr", "Sr", "Sr", "Sc", "Sc", "Sc", "Sc", "Sc", "Sc", "Sc", "Sc", "N", "N", "N", "N", "N", "N", "N", "N", "N", "N", "N", "N", "N", "N", "N", "N"], "fractional_positions": [[0.616, 0.154, 0.414], [0.884, 0.846, 0.414], [0.616, 0.346, 0.086], [0.884, 0.654, 0.086], [0.384, 0.846, 0.586], [0.116, 0.154, 0.586], [0.384, 0.654, 0.914], [0.116, 0.346, 0.914], [0.750, 0.500, 0.406], [0.750, 0.000, 0.094], [0.250, 0.500, 0.594], [0.250, 0.000, 0.906], [0.750, 0.500, 0.739], [0.750, 0.000, 0.761], [0.250, 0.500, 0.261], [0.250, 0.000, 0.239], [0.659, 0.250, 0.750], [0.841, 0.750, 0.750], [0.341, 0.750, 0.250], [0.159, 0.250, 0.250], [0.880, 0.356, 0.628], [0.620, 0.644, 0.628], [0.880, 0.144, 0.872], [0.620, 0.856, 0.872], [0.120, 0.644, 0.372], [0.380, 0.356, 0.372], [0.120, 0.856, 0.128], [0.380, 0.144, 0.128], [0.503, 0.402, 0.840], [0.997, 0.598, 0.840], [0.503, 0.098, 0.660], [0.997, 0.902, 0.660], [0.497, 0.598, 0.160], [0.003, 0.402, 0.160], [0.497, 0.902, 0.340], [0.003, 0.098, 0.340]], "magmom_total_mub_per_atom": 0.0000}

Arrangement ii

{"formula": "Sr3Sc2N4", "functional": "PBE-GGA", "state": "relaxed", "lattice": [[7.344, -0.334, -0.097], [-5.902, 7.543, 0.000], [-0.175, -0.137, 6.186]], "species": ["Sr", "Sr", "Sr", "Sr", "Sr", "Sr", "Sc", "Sc", "Sc", "Sc", "N", "N", "N", "N", "N", "N", "N", "N"], "fractional_positions": [[0.225, 0.953, 0.068], [0.775, 0.728, 0.432], [0.775, 0.047, 0.932], [0.225, 0.272, 0.568], [0.000, 0.596, 0.750], [0.000, 0.404, 0.250], [0.567, 0.171, 0.588], [0.433, 0.604, 0.912], [0.433, 0.829, 0.412], [0.567, 0.396, 0.088], [0.231, 0.909, 0.506], [0.769, 0.679, 0.994], [0.769, 0.091, 0.494], [0.231, 0.321, 0.006], [0.651, 0.252, 0.921], [0.349, 0.601, 0.579], [0.349, 0.748, 0.079], [0.651, 0.399, 0.421]], "magmom_total_mub_per_atom": 0.0000}

Q: Which of them is the least stable? A: arrangement i.